# 1
Density functional theory data (GGA-PBE) for a relaxed Sm2Cr2C3 crystal.

Electronic total energy, eV per atom: -8.2943

Lattice parameters (Å, degrees): 5.480 5.480 5.708 75.57 75.57 36.89
Atoms (fractional coordinates):
1 Sm 0.398 0.398 0.819
2 Sm 0.602 0.602 0.181
3 Cr 0.159 0.159 0.603
4 Cr 0.841 0.841 0.397
5 C 0.292 0.292 0.281
6 C 0.708 0.708 0.719
7 C 0.000 0.000 0.500

# 2
Density functional theory data (GGA-PBE) for a relaxed La5CrPb3 crystal.

Electronic total energy, eV per atom: -5.3620

Lattice parameters (Å, degrees): 9.865 9.865 6.990 90.00 90.00 120.00
Atoms (fractional coordinates):
1 La 0.750 0.750 0.750
2 La 0.250 0.000 0.750
3 La 0.000 0.250 0.750
4 La 0.250 0.250 0.250
5 La 0.750 0.000 0.250
6 La 0.000 0.750 0.250
7 La 0.667 0.333 0.000
8 La 0.333 0.667 0.000
9 La 0.333 0.667 0.500
10 La 0.667 0.333 0.500
11 Cr 0.000 0.000 0.000
12 Cr 0.000 0.000 0.500
13 Pb 0.396 0.396 0.750
14 Pb 0.604 0.000 0.750
15 Pb 0.000 0.604 0.750
16 Pb 0.604 0.604 0.250
17 Pb 0.396 0.000 0.250
18 Pb 0.000 0.396 0.250

# 3
Density functional theory data (GGA-PBE) for a relaxed Nd3Ge2Rh2 crystal.

Electronic total energy, eV per atom: -6.3140

Lattice parameters (Å, degrees): 5.709 8.140 13.462 90.00 90.00 90.00
Atoms (fractional coordinates):
1 Nd 0.648 0.248 0.250
2 Nd 0.352 0.752 0.750
3 Nd 0.352 0.748 0.250
4 Nd 0.648 0.252 0.750
5 Nd 0.148 0.393 0.101
6 Nd 0.852 0.607 0.899
7 Nd 0.852 0.607 0.601
8 Nd 0.852 0.893 0.399
9 Nd 0.148 0.393 0.399
10 Nd 0.148 0.107 0.601
11 Nd 0.148 0.107 0.899
12 Nd 0.852 0.893 0.101
13 Ge 0.152 0.104 0.250
14 Ge 0.848 0.896 0.750
15 Ge 0.848 0.604 0.250
16 Ge 0.152 0.396 0.750
17 Ge 0.645 0.250 0.000
18 Ge 0.355 0.750 0.000
19 Ge 0.355 0.750 0.500
20 Ge 0.645 0.250 0.500
21 Rh 0.379 0.035 0.092
22 Rh 0.621 0.965 0.908
23 Rh 0.621 0.965 0.592
24 Rh 0.621 0.535 0.408
25 Rh 0.379 0.035 0.408
26 Rh 0.379 0.465 0.592
27 Rh 0.379 0.465 0.908
28 Rh 0.621 0.535 0.092

> The highest electronic total energy belongs to which entry?

La5CrPb3